Computed, not measured: V2Ga5 after structural relaxation at the r2SCAN level of DFT.

## Properties
- Energy: -174.56 eV per cell
- Calculated density: 7.101 g cm⁻³
- Total magnetization: 0.000 μB/atom
- Energy relative to the elements: -1.9 eV/f.u.

```
data_V2Ga5
_cell_length_a 8.905
_cell_length_b 8.905
_cell_length_c 2.657
_cell_angle_alpha 90.00
_cell_angle_beta 90.00
_cell_angle_gamma 90.00
_symmetry_space_group_name_H-M 'P 4/m b m'
_symmetry_Int_Tables_number 127
_symmetry_space_group_name_Hall '-P 4 2ab'
loop_
_atom_site_label
_atom_site_type_symbol
_atom_site_fract_x
_atom_site_fract_y
_atom_site_fract_z
V1 V 0.179 0.321 0.000
Ga1 Ga 0.000 0.500 0.500
Ga2 Ga 0.062 0.793 0.500
```

Computed, not measured: LiYb2In after structural relaxation at the r2SCAN level of DFT.

## Properties
- Energy: -397.41 eV per cell
- Calculated density: 8.014 g cm⁻³
- Total magnetization: 0.002 μB/atom
- Energy relative to the elements: -1.3 eV/f.u.

```
data_LiYb2In
_cell_length_a 7.292
_cell_length_b 7.292
_cell_length_c 7.292
_cell_angle_alpha 90.00
_cell_angle_beta 90.00
_cell_angle_gamma 90.00
_symmetry_space_group_name_H-M 'F m -3 m'
_symmetry_Int_Tables_number 225
_symmetry_space_group_name_Hall '-F 4 2 3'
loop_
_atom_site_label
_atom_site_type_symbol
_atom_site_fract_x
_atom_site_fract_y
_atom_site_fract_z
Li1 Li 0.000 0.000 0.000
Yb1 Yb 0.250 0.250 0.250
In1 In 0.000 0.000 0.500
```

Computed, not measured: CeSb2Au after structural relaxation at the r2SCAN level of DFT.

## Properties
- Energy: -272.05 eV per cell
- Calculated density: 9.521 g cm⁻³
- Total magnetization: 0.194 μB/atom
- Energy relative to the elements: -3.2 eV/f.u.

```
data_CeSb2Au
_cell_length_a 4.444
_cell_length_b 4.444
_cell_length_c 10.255
_cell_angle_alpha 90.00
_cell_angle_beta 90.00
_cell_angle_gamma 90.00
_symmetry_space_group_name_H-M 'P 4/n m m'
_symmetry_Int_Tables_number 129
loop_
_symmetry_equiv_pos_as_xyz
'x,y,z'
'-x,-y,-z'
'-y+1/2,x,z'
'y+1/2,-x,-z'
'-x+1/2,-y+1/2,z'
'x+1/2,y+1/2,-z'
'y,-x+1/2,z'
'-y,x+1/2,-z'
'x+1/2,-y,-z'
'-x+1/2,y,z'
'-y,-x,-z'
'y,x,z'
'-x,y+1/2,-z'
'x,-y+1/2,z'
'y+1/2,x+1/2,-z'
'-y+1/2,-x+1/2,z'
loop_
_atom_site_label
_atom_site_type_symbol
_atom_site_fract_x
_atom_site_fract_y
_atom_site_fract_z
Ce1 Ce 0.250 0.250 0.246
Sb1 Sb 0.250 0.250 0.677
Sb2 Sb 0.250 0.750 0.000
Au1 Au 0.250 0.750 0.500
```

Computed, not measured: NdTmMg2 after structural relaxation at the r2SCAN level of DFT.

## Properties
- Energy: -293.01 eV per cell
- Calculated density: 5.395 g cm⁻³
- Total magnetization: 0.000 μB/atom
- Energy relative to the elements: -0.4 eV/f.u.

```
data_NdTmMg2
_cell_length_a 7.637
_cell_length_b 7.637
_cell_length_c 7.637
_cell_angle_alpha 90.00
_cell_angle_beta 90.00
_cell_angle_gamma 90.00
_symmetry_space_group_name_H-M 'F m -3 m'
_symmetry_Int_Tables_number 225
_symmetry_space_group_name_Hall '-F 4 2 3'
loop_
_atom_site_label
_atom_site_type_symbol
_atom_site_fract_x
_atom_site_fract_y
_atom_site_fract_z
Nd1 Nd 0.000 0.000 0.000
Tm1 Tm 0.000 0.000 0.500
Mg1 Mg 0.250 0.250 0.250
```

Computed, not measured: ThAs12Os4 after structural relaxation at the r2SCAN level of DFT.

## Properties
- Energy: -939.46 eV per cell
- Calculated density: 10.011 g cm⁻³
- Total magnetization: 0.000 μB/atom
- Energy relative to the elements: -7.8 eV/f.u.

```
data_ThAs12Os4
_cell_length_a 8.562
_cell_length_b 8.562
_cell_length_c 8.562
_cell_angle_alpha 90.00
_cell_angle_beta 90.00
_cell_angle_gamma 90.00
_symmetry_space_group_name_H-M 'I m -3'
_symmetry_Int_Tables_number 204
_symmetry_space_group_name_Hall '-I 2 2 3'
loop_
_atom_site_label
_atom_site_type_symbol
_atom_site_fract_x
_atom_site_fract_y
_atom_site_fract_z
Th1 Th 0.000 0.000 0.000
As1 As 0.000 0.347 0.149
Os1 Os 0.250 0.250 0.250
```

Computed, not measured: Th2Zn after structural relaxation at the r2SCAN level of DFT.

## Properties
- Energy: -625.47 eV per cell
- Calculated density: 10.870 g cm⁻³
- Total magnetization: 0.000 μB/atom
- Energy relative to the elements: -0.5 eV/f.u.

```
data_Th2Zn
_cell_length_a 9.434
_cell_length_b 7.628
_cell_length_c 5.555
_cell_angle_alpha 90.00
_cell_angle_beta 125.96
_cell_angle_gamma 90.00
_symmetry_space_group_name_H-M 'C 1 2/c 1'
_symmetry_Int_Tables_number 15
_symmetry_space_group_name_Hall '-C 2yc'
loop_
_atom_site_label
_atom_site_type_symbol
_atom_site_fract_x
_atom_site_fract_y
_atom_site_fract_z
Th1 Th 0.158 0.158 0.158
Zn1 Zn 0.000 0.500 0.250
```

Computed, not measured: Dy3In after structural relaxation at the r2SCAN level of DFT.

## Properties
- Energy: -119.93 eV per cell
- Calculated density: 8.888 g cm⁻³
- Total magnetization: 0.321 μB/atom
- Energy relative to the elements: -1.4 eV/f.u.

```
data_Dy3In
_cell_length_a 4.828
_cell_length_b 4.828
_cell_length_c 4.828
_cell_angle_alpha 90.00
_cell_angle_beta 90.00
_cell_angle_gamma 90.00
_symmetry_space_group_name_H-M 'P m -3 m'
_symmetry_Int_Tables_number 221
_symmetry_space_group_name_Hall '-P 4 2 3'
loop_
_atom_site_label
_atom_site_type_symbol
_atom_site_fract_x
_atom_site_fract_y
_atom_site_fract_z
Dy1 Dy 0.000 0.000 0.500
In1 In 0.500 0.500 0.500
```

Computed, not measured: HfBrN after structural relaxation at the r2SCAN level of DFT.

## Properties
- Energy: -146.93 eV per cell
- Calculated density: 6.957 g cm⁻³
- Total magnetization: 0.000 μB/atom
- Energy relative to the elements: -5.9 eV/f.u.

```
data_HfBrN
_cell_length_a 3.558
_cell_length_b 4.104
_cell_length_c 8.905
_cell_angle_alpha 90.00
_cell_angle_beta 90.00
_cell_angle_gamma 90.00
_symmetry_space_group_name_H-M 'P m m n'
_symmetry_Int_Tables_number 59
loop_
_symmetry_equiv_pos_as_xyz
'x,y,z'
'-x,-y,-z'
'-x+1/2,-y+1/2,z'
'x+1/2,y+1/2,-z'
'x+1/2,-y,-z'
'-x+1/2,y,z'
'-x,y+1/2,-z'
'x,-y+1/2,z'
loop_
_atom_site_label
_atom_site_type_symbol
_atom_site_fract_x
_atom_site_fract_y
_atom_site_fract_z
Hf1 Hf 0.250 0.250 0.096
Br1 Br 0.250 0.750 0.671
N1 N 0.250 0.750 0.034
```

Computed, not measured: Cs2GeSe4 after structural relaxation at the r2SCAN level of DFT.

## Properties
- Energy: -511.40 eV per cell
- Calculated density: 4.157 g cm⁻³
- Total magnetization: 0.000 μB/atom
- Energy relative to the elements: -6.5 eV/f.u.

```
data_Cs2GeSe4
_cell_length_a 15.468
_cell_length_b 7.738
_cell_length_c 10.258
_cell_angle_alpha 90.00
_cell_angle_beta 121.63
_cell_angle_gamma 90.00
_symmetry_space_group_name_H-M 'C 1 2/m 1'
_symmetry_Int_Tables_number 12
_symmetry_space_group_name_Hall '-C 2y'
loop_
_atom_site_label
_atom_site_type_symbol
_atom_site_fract_x
_atom_site_fract_y
_atom_site_fract_z
Cs1 Cs 0.092 0.000 0.358
Cs2 Cs 0.159 0.500 0.786
Ge1 Ge 0.157 0.500 0.203
Se1 Se 0.086 0.252 0.034
Se2 Se 0.126 0.500 0.397
Se3 Se 0.185 0.000 0.770
```

Computed, not measured: VP4 after structural relaxation at the r2SCAN level of DFT.

## Properties
- Energy: -208.10 eV per cell
- Calculated density: 3.697 g cm⁻³
- Total magnetization: 0.000 μB/atom
- Energy relative to the elements: -1.9 eV/f.u.

```
data_VP4
_cell_length_a 5.242
_cell_length_b 10.954
_cell_length_c 5.845
_cell_angle_alpha 90.00
_cell_angle_beta 110.59
_cell_angle_gamma 90.00
_symmetry_space_group_name_H-M 'C 1 2/c 1'
_symmetry_Int_Tables_number 15
_symmetry_space_group_name_Hall '-C 2yc'
loop_
_atom_site_label
_atom_site_type_symbol
_atom_site_fract_x
_atom_site_fract_y
_atom_site_fract_z
V1 V 0.000 0.063 0.250
P1 P 0.225 0.276 0.811
P2 P 0.225 0.411 0.322
```

Computed, not measured: SnTe4Pb3 after structural relaxation at the r2SCAN level of DFT.

## Properties
- Energy: -298.77 eV per cell
- Calculated density: 7.570 g cm⁻³
- Total magnetization: 0.000 μB/atom
- Energy relative to the elements: -3.5 eV/f.u.

```
data_SnTe4Pb3
_cell_length_a 4.592
_cell_length_b 4.592
_cell_length_c 13.013
_cell_angle_alpha 90.00
_cell_angle_beta 90.00
_cell_angle_gamma 90.00
_symmetry_space_group_name_H-M 'P 4/m m m'
_symmetry_Int_Tables_number 123
_symmetry_space_group_name_Hall '-P 4 2'
loop_
_atom_site_label
_atom_site_type_symbol
_atom_site_fract_x
_atom_site_fract_y
_atom_site_fract_z
Sn1 Sn 0.000 0.000 0.000
Te1 Te 0.000 0.000 0.247
Te2 Te 0.500 0.500 0.000
Te3 Te 0.500 0.500 0.500
Pb1 Pb 0.000 0.000 0.500
Pb2 Pb 0.500 0.500 0.250
```

Computed, not measured: CaTiF6 after structural relaxation at the r2SCAN level of DFT.

## Properties
- Energy: -209.03 eV per cell
- Calculated density: 2.387 g cm⁻³
- Total magnetization: 0.000 μB/atom
- Energy relative to the elements: -30.9 eV/f.u.

```
data_CaTiF6
_cell_length_a 5.8245
_cell_length_b 5.8245
_cell_length_c 14.3435
_cell_angle_alpha 90.00
_cell_angle_beta 90.00
_cell_angle_gamma 120.00
_symmetry_space_group_name_H-M 'R -3 m'
_symmetry_Int_Tables_number 166
_symmetry_space_group_name_Hall '-R 3 2"'
loop_
_atom_site_label
_atom_site_type_symbol
_atom_site_fract_x
_atom_site_fract_y
_atom_site_fract_z
Ca1 Ca 0.0000 0.0000 0.0000
Ti1 Ti 0.0000 0.0000 0.5000
F1 F 0.0300 0.5150 0.2421
```

Number 1: calculated volume 15.05 A^3/atom. Number 2: calculated volume 24.24 A^3/atom. Number 3: calculated volume 25.31 A^3/atom. Number 4: calculated volume 27.84 A^3/atom. Number 5: calculated volume 18.46 A^3/atom. Number 6: calculated volume 26.96 A^3/atom. Number 7: calculated volume 28.13 A^3/atom. Number 8: calculated volume 21.67 A^3/atom. Number 9: calculated volume 37.34 A^3/atom. Number 10: calculated volume 15.71 A^3/atom. Number 11: calculated volume 34.30 A^3/atom. Number 12: calculated volume 17.56 A^3/atom.